A geometry-optimized Mg14SnBi structure, computed with PBE-GGA.

* energy relative to the elements: -0.033 eV per atom
* SG: P-6m2 (187)
* total moment: 0.00 μB per cell
* final energy: -1.927 eV/atom

abc: 6.4372 6.4372 10.4085
angles: 90.00 90.00 120.00
Atoms (fractional coordinates):
Mg (0.0000, 0.0000, 0.2487)
Mg (0.0000, 0.0000, 0.7513)
Mg (0.3321, 0.1661, 0.0000)
Mg (0.3325, 0.1662, 0.5000)
Mg (0.5040, 0.0079, 0.2517)
Mg (0.5040, 0.0079, 0.7483)
Mg (0.5040, 0.4960, 0.2517)
Mg (0.5040, 0.4960, 0.7483)
Mg (0.8339, 0.1661, 0.0000)
Mg (0.8338, 0.1662, 0.5000)
Mg (0.8339, 0.6679, 0.0000)
Mg (0.8338, 0.6675, 0.5000)
Mg (0.9921, 0.4960, 0.2517)
Mg (0.9921, 0.4960, 0.7483)
Sn (0.3333, 0.6667, 0.5000)
Bi (0.3333, 0.6667, 0.0000)